1.
Material: Mg5Si9
Method: DFT, PBE
State: optimized geometry

## Properties
space-group type = P1
volume = 500 Å³/cell
DFT formation energy = 229 meV/atom
total energy after the MP2020 corrections = -0.2816 Ry per atom
total magnetic moment = 0.0 μB per cell

```
Mg5Si9
1.0
-4.2834 -6.0663 0.7563
4.0411 1.6348 6.2480
-6.5959 7.1612 1.6171
Mg Si
10 18
direct
0.5010 0.9493 0.5696 Mg
0.9023 0.0932 0.4270 Mg
0.1654 0.5508 0.5577 Mg
0.7773 0.4000 0.3327 Mg
0.7533 0.6998 0.5740 Mg
0.3878 0.2873 0.4948 Mg
0.7113 0.0327 0.0910 Mg
0.5874 0.2475 0.8442 Mg
0.8836 0.6047 0.0739 Mg
0.0614 0.3259 0.9684 Mg
0.1447 0.0058 0.2287 Si
0.4772 0.5792 0.0306 Si
0.0440 0.7959 0.4044 Si
0.2373 0.3154 0.7345 Si
0.1242 0.3287 0.2560 Si
0.8908 0.0789 0.6989 Si
0.2885 0.7542 0.1044 Si
0.9988 0.6089 0.8068 Si
0.7015 0.7297 0.2672 Si
0.1682 0.9711 0.6584 Si
0.3683 0.8169 0.8072 Si
0.8892 0.9119 0.8965 Si
0.4907 0.0117 0.2978 Si
0.5834 0.6228 0.8182 Si
0.2410 0.9936 0.9570 Si
0.4309 0.2816 0.1265 Si
0.7845 0.3501 0.6141 Si
0.4053 0.6522 0.3592 Si
```

2.
Material: Nd5Cu5O13
Method: DFT, PBE
State: optimized geometry

## Properties
space-group type = P4/m
volume = 276 Å³/cell
DFT formation energy = -2436 meV/atom
total energy after the MP2020 corrections = -0.5263 Ry per atom
total magnetic moment = 0.0 μB per cell

```
Nd5Cu5O13
1.0
-5.0100 -6.4868 -2.1612
3.7449 -4.8450 5.8610
-2.5880 1.1352 2.5920
Nd Cu O
5 5 13
direct
0.8474 0.7368 0.5000 Nd
0.2632 0.8474 0.5000 Nd
0.5000 0.5000 0.5000 Nd
0.1526 0.2632 0.5000 Nd
0.7368 0.1526 0.5000 Nd
0.4341 0.1601 0.0000 Cu
0.5659 0.8399 0.0000 Cu
0.1601 0.5659 0.0000 Cu
0.8399 0.4341 0.0000 Cu
0.0000 0.0000 0.0000 Cu
0.7008 0.6124 0.0000 O
0.2410 0.0420 0.0000 O
0.4343 0.1798 0.5000 O
0.2992 0.3876 0.0000 O
0.8202 0.4343 0.5000 O
0.7590 0.9580 0.0000 O
0.9580 0.2410 0.0000 O
0.6124 0.2992 0.0000 O
0.3876 0.7008 0.0000 O
0.1798 0.5657 0.5000 O
0.0420 0.7590 0.0000 O
0.0000 0.0000 0.5000 O
0.5657 0.8202 0.5000 O
```

3.
Material: Ba3InIr2O9
Method: DFT, PBE
State: optimized geometry

## Properties
space-group type = P6_3/mmc
volume = 447 Å³/cell
DFT formation energy = -2149 meV/atom
total energy after the MP2020 corrections = -0.5045 Ry per atom
total magnetic moment = 6.0 μB per cell

```
Ba3InIr2O9
1.0
2.4763 4.3038 -3.1925
-5.3676 0.7704 2.3326
6.1286 5.5702 12.2630
Ba In Ir O
6 2 4 18
direct
0.3333 0.6667 0.0875 Ba
0.6667 0.3333 0.9125 Ba
0.6667 0.3333 0.5875 Ba
0.3333 0.6667 0.4125 Ba
0.0000 0.0000 0.2500 Ba
0.0000 0.0000 0.7500 Ba
0.0000 0.0000 0.0000 In
0.0000 0.0000 0.5000 In
0.3333 0.6667 0.6595 Ir
0.6667 0.3333 0.3405 Ir
0.6667 0.3333 0.1595 Ir
0.3333 0.6667 0.8405 Ir
0.5162 0.0325 0.2500 O
0.4838 0.9675 0.7500 O
0.9675 0.4838 0.2500 O
0.0325 0.5162 0.7500 O
0.5162 0.4838 0.2500 O
0.4838 0.5162 0.7500 O
0.1713 0.3426 0.5840 O
0.8287 0.6574 0.4160 O
0.6574 0.8287 0.5840 O
0.8287 0.6574 0.0840 O
0.3426 0.1713 0.4160 O
0.1713 0.3426 0.9160 O
0.1713 0.8287 0.5840 O
0.3426 0.1713 0.0840 O
0.8287 0.1713 0.4160 O
0.6574 0.8287 0.9160 O
0.8287 0.1713 0.0840 O
0.1713 0.8287 0.9160 O
```

4.
Material: Sm2Al
Method: DFT, PBE
State: optimized geometry

## Properties
space-group type = Pnma
volume = 335 Å³/cell
DFT formation energy = -259 meV/atom

```
Sm2Al
1.0
5.2082 0.0000 0.0000
0.0000 6.6650 0.0000
0.0000 0.0000 9.6538
Sm Al
8 4
direct
0.2500 0.1921 0.9252 Sm
0.2500 0.6921 0.5748 Sm
0.7500 0.8079 0.0748 Sm
0.7500 0.3079 0.4252 Sm
0.2500 0.0256 0.2927 Sm
0.2500 0.5256 0.2073 Sm
0.7500 0.9744 0.7073 Sm
0.7500 0.4744 0.7927 Sm
0.2500 0.2101 0.6017 Al
0.2500 0.7101 0.8983 Al
0.7500 0.7899 0.3983 Al
0.7500 0.2899 0.1017 Al
```

5.
Material: Ba5Mg18Ge13
Method: DFT, PBE
State: optimized geometry

## Properties
space-group type = P31m
volume = 854 Å³/cell
DFT formation energy = -406 meV/atom

```
Ba5Mg18Ge13
1.0
7.3688 -12.7632 0.0000
7.3688 12.7632 0.0000
0.0000 0.0000 4.5415
Ba Mg Ge
5 18 13
direct
0.3333 0.6667 0.9999 Ba
0.6667 0.3333 0.9999 Ba
0.8177 0.0000 0.4964 Ba
0.0000 0.8177 0.4964 Ba
0.1823 0.1823 0.4964 Ba
0.4420 0.0000 0.0002 Mg
0.0000 0.4420 0.0002 Mg
0.5580 0.5580 0.0002 Mg
0.5162 0.8771 0.4999 Mg
0.1229 0.6391 0.4999 Mg
0.3609 0.4838 0.4999 Mg
0.6391 0.1229 0.4999 Mg
0.4838 0.3609 0.4999 Mg
0.8771 0.5162 0.4999 Mg
0.8236 0.1976 0.9997 Mg
0.8024 0.6260 0.9997 Mg
0.3740 0.1764 0.9997 Mg
0.6260 0.8024 0.9997 Mg
0.1764 0.3740 0.9997 Mg
0.1976 0.8236 0.9997 Mg
0.2802 0.0000 0.5005 Mg
0.0000 0.2802 0.5005 Mg
0.7198 0.7198 0.5005 Mg
0.6307 0.0000 0.9991 Ge
0.0000 0.6307 0.9991 Ge
0.3693 0.3693 0.9991 Ge
0.5219 0.6896 0.5000 Ge
0.3104 0.8323 0.5000 Ge
0.1677 0.4781 0.5000 Ge
0.8323 0.3104 0.5000 Ge
0.4781 0.1677 0.5000 Ge
0.6896 0.5219 0.5000 Ge
0.1728 0.0000 0.0027 Ge
0.0000 0.1728 0.0027 Ge
0.8272 0.8272 0.0027 Ge
0.0000 0.0000 0.9118 Ge
```

6.
Material: Na5GdO4
Method: DFT, PBE
State: optimized geometry

## Properties
space-group type = Pmmn
volume = 337 Å³/cell
DFT formation energy = -2055 meV/atom
total energy after the MP2020 corrections = -0.4485 Ry per atom
total magnetic moment = 14.0 μB per cell

```
Na5GdO4
1.0
5.5957 0.0000 0.0000
0.0000 7.5984 0.0000
0.0000 0.0000 7.9171
Na Gd O
10 2 8
direct
0.2552 0.7611 0.8075 Na
0.2552 0.2389 0.8075 Na
0.7953 0.5000 0.0000 Na
0.2552 0.2389 0.1925 Na
0.2552 0.7611 0.1925 Na
0.7448 0.2611 0.3075 Na
0.7448 0.7389 0.3075 Na
0.2047 0.0000 0.5000 Na
0.7448 0.2611 0.6925 Na
0.7448 0.7389 0.6925 Na
0.7794 0.0000 0.0000 Gd
0.2206 0.5000 0.5000 Gd
0.9884 0.0000 0.7653 O
0.5688 0.2392 0.0000 O
0.5688 0.7608 0.0000 O
0.9884 0.0000 0.2347 O
0.0116 0.5000 0.2653 O
0.4312 0.2608 0.5000 O
0.4312 0.7392 0.5000 O
0.0116 0.5000 0.7347 O
```